## Tb9Al5S21 (PBE-GGA)

Data for Tb9Al5S21 after structural relaxation.

Lattice parameters (Å, degrees): 11.4521 11.4521 11.4521 94.70 94.70 94.70
Closest atoms and distances in Å follow each position.
Element x y z (fractional)
Al1 0.5512 0.8857 0.2240  4 S 2.23-2.26
S1 0.7809 0.3568 0.8704  1 Al 2.24
S2 0.3760 0.1491 0.2856  2 Al 2.47-2.62
S3 0.4471 0.0142 0.5402  1 Al 2.25
S4 0.2367 0.0959 0.9977  1 Al 2.32
S5 0.2982 0.3883 0.8124  1 Al 2.24
S6 0.6307 0.7224 0.1554  1 Al 2.26
Tb1 0.4017 0.7727 0.5480  7 S 2.78-2.93
S7 0.2856 0.3760 0.1491  2 Al 2.47-2.62
S8 0.9429 0.0362 0.7926  1 Al 2.41
Al2 0.7214 0.3886 0.0509  4 S 2.23-2.25
Tb2 0.7408 0.1159 0.8800  7 S 2.77-2.92
Al3 0.6718 0.6718 0.6718  3 S 2.32
Al4 0.3886 0.0509 0.7214  4 S 2.23-2.25
Tb3 0.7727 0.5480 0.4017  7 S 2.78-2.93
S9 0.6761 0.0104 0.3431  1 Al 2.23
S10 0.5402 0.4471 0.0142  1 Al 2.25
S11 0.3883 0.8124 0.2982  1 Al 2.24
Tb4 0.5480 0.4017 0.7727  7 S 2.78-2.93
S12 0.5109 0.1754 0.8434  1 Al 2.23
Al5 0.8857 0.2240 0.5512  4 S 2.23-2.26
S13 0.9977 0.2367 0.0959  1 Al 2.32
S14 0.4763 0.9659 0.0650  1 Al 2.25
S15 0.7231 0.4836 0.6229  1 Al 2.32
Tb5 0.0758 0.4558 0.2220  7 S 2.75-2.95
Tb6 0.2088 0.4401 0.5839  7 S 2.73-2.98
S16 0.1491 0.2856 0.3760  2 Al 2.47-2.62
Tb7 0.5469 0.7807 0.9274  7 S 2.75-2.94
Al6 0.1722 0.1722 0.1722  3 S 2.32
Tb8 0.1159 0.8800 0.7408  7 S 2.77-2.92
S17 0.0362 0.7926 0.9429  1 Al 2.41
S18 0.9659 0.0650 0.4763  1 Al 2.25
Tb9 0.2220 0.0758 0.4558  7 S 2.75-2.95
S19 0.6229 0.7231 0.4836  1 Al 2.32
S20 0.0959 0.9977 0.2367  1 Al 2.32
S21 0.3568 0.8704 0.7809  1 Al 2.24
Tb10 0.4401 0.5839 0.2088  7 S 2.73-2.98
S22 0.6642 0.8916 0.7554  2 Al 2.47-2.63
S23 0.0650 0.4763 0.9659  1 Al 2.25
S24 0.1554 0.6307 0.7224  1 Al 2.26
S25 0.6941 0.2045 0.1062  1 Al 2.25
Tb11 0.2458 0.8751 0.1042  7 S 2.77-2.95
S26 0.7224 0.1554 0.6307  1 Al 2.26
Al7 0.8555 0.8555 0.8555  6 S 2.41-2.47
S27 0.8916 0.7554 0.6642  2 Al 2.47-2.63
Tb12 0.1042 0.2458 0.8751  7 S 2.77-2.95
Tb13 0.5839 0.2088 0.4401  7 S 2.73-2.98
S28 0.8704 0.7809 0.3568  1 Al 2.24
S29 0.8434 0.5109 0.1754  1 Al 2.23
Tb14 0.9274 0.5469 0.7807  7 S 2.75-2.94
S30 0.1754 0.8434 0.5109  1 Al 2.23
Tb15 0.8800 0.7408 0.1159  7 S 2.77-2.92
S31 0.5545 0.4057 0.3108  1 Al 2.41
Tb16 0.7807 0.9274 0.5469  7 S 2.75-2.94
Al8 0.3556 0.3556 0.3556  6 S 2.41-2.47
S32 0.7554 0.6642 0.8916  2 Al 2.47-2.63
S33 0.2045 0.1062 0.6941  1 Al 2.25
Al9 0.0509 0.7214 0.3886  4 S 2.23-2.25
Tb17 0.4558 0.2220 0.0758  7 S 2.75-2.95
S34 0.7926 0.9429 0.0362  1 Al 2.41
S35 0.3108 0.5545 0.4057  1 Al 2.41
S36 0.1062 0.6941 0.2045  1 Al 2.25
S37 0.4057 0.3108 0.5545  1 Al 2.41
Tb18 0.8751 0.1042 0.2458  7 S 2.77-2.95
S38 0.0104 0.3431 0.6761  1 Al 2.23
S39 0.3431 0.6761 0.0104  1 Al 2.23
Al10 0.2240 0.5512 0.8857  4 S 2.23-2.26
S40 0.8124 0.2982 0.3883  1 Al 2.24
S41 0.4836 0.6229 0.7231  1 Al 2.32
S42 0.0142 0.5402 0.4471  1 Al 2.25

Results
Calculated volume in Å³/cell: 1485.9
Symmetry: R3, No. 146
DFT formation energy in eV/atom: -2.023

---

## Al13Tl3S21 (PBE-GGA)

Data for Al13Tl3S21 after structural relaxation.

Lattice parameters (Å, degrees): 14.8642 14.8642 9.3866 78.23 78.23 61.26
Closest atoms and distances in Å follow each position.
Element x y z (fractional)
S1 0.5596 0.0566 0.7118  3 Al 2.31-2.34
S2 0.1173 0.6091 0.0405  3 Al 2.29-2.34
Al1 0.6525 0.1516 0.6309  4 S 2.21-2.34
Al2 0.1516 0.6525 0.6309  4 S 2.21-2.34
S3 0.9216 0.6755 0.3501  2 Al 2.21-2.24
S4 0.8075 0.0512 0.7060  2 Al 2.23
S5 0.6562 0.4311 0.3838  2 Al 2.19-2.21
Al3 0.5937 0.8487 0.2850  4 S 2.21-2.31
S6 0.4217 0.1869 0.3792  2 Al 2.21-2.23
Tl1 0.8209 0.8209 0.6107  3 S 3.10-3.23
S7 0.1869 0.4217 0.3792  2 Al 2.21-2.23
Al4 0.5327 0.7911 0.9479  4 S 2.20-2.32
S8 0.6717 0.1666 0.3743  3 Al 2.31-2.34
S9 0.8575 0.3634 0.0483  3 Al 2.28-2.35
S10 0.6755 0.9216 0.3501  2 Al 2.21-2.24
S11 0.3664 0.3664 0.0330  3 Al 2.32
S12 0.3087 0.3087 0.7025  3 Al 2.31-2.32
Al5 0.2901 0.5396 0.9364  4 S 2.23-2.34
Al6 0.4010 0.1473 0.6221  4 S 2.23-2.32
Al7 0.8211 0.3561 0.3014  4 S 2.19-2.32
Al8 0.1399 0.8974 0.6311  4 S 2.23-2.35
Al9 0.2866 0.2866 0.9559  4 S 2.23-2.32
Al10 0.5396 0.2901 0.9364  4 S 2.23-2.34
Al11 0.0945 0.8454 0.2881  4 S 2.23-2.31
S13 0.1173 0.8720 0.0437  2 Al 2.23
S14 0.8140 0.3015 0.7113  3 Al 2.31-2.33
Al12 0.3561 0.8211 0.3014  4 S 2.19-2.32
S15 0.1666 0.6717 0.3743  3 Al 2.31-2.34
S16 0.3634 0.8575 0.0483  3 Al 2.28-2.35
S17 0.8742 0.6058 0.0319  3 Al 2.31-2.34
Al13 0.0934 0.5860 0.2973  4 S 2.21-2.34
Al14 0.8974 0.1399 0.6311  4 S 2.23-2.35
S18 0.5560 0.3095 0.6925  2 Al 2.21-2.23
S19 0.6091 0.1173 0.0405  3 Al 2.29-2.34
S20 0.4213 0.9152 0.3745  3 Al 2.30-2.36
S21 0.6058 0.8742 0.0319  3 Al 2.31-2.34
S22 0.6744 0.6744 0.3636  3 Al 2.30-2.33
S23 0.3095 0.5560 0.6925  2 Al 2.21-2.23
S24 0.6073 0.3694 0.0255  2 Al 2.22-2.23
Al15 0.1473 0.4010 0.6221  4 S 2.23-2.32
S25 0.1820 0.9122 0.3753  3 Al 2.30-2.35
S26 0.7982 0.5545 0.7074  2 Al 2.20-2.23
S27 0.0566 0.5596 0.7118  3 Al 2.31-2.34
S28 0.9122 0.1820 0.3753  3 Al 2.30-2.35
S29 0.5545 0.7982 0.7074  2 Al 2.20-2.23
Al16 0.0525 0.5176 0.9627  4 S 2.19-2.34
Al17 0.5946 0.5946 0.2857  4 S 2.21-2.33
S30 0.6174 0.6174 0.0334  3 Al 2.30-2.31
Tl2 0.8900 0.8900 0.0397  5 S 3.27-3.57
Al18 0.7770 0.2838 0.9660  4 S 2.22-2.35
Al19 0.9011 0.3996 0.6334  4 S 2.23-2.36
S31 0.3055 0.0625 0.6880  2 Al 2.23-2.24
Al20 0.8454 0.0945 0.2881  4 S 2.23-2.31
S32 0.9231 0.9231 0.3549  2 Al 2.24
Tl3 0.1828 0.1828 0.4059  5 S 3.23-3.55
S33 0.0607 0.0607 0.6813  2 Al 2.23
Al21 0.2838 0.7770 0.9660  4 S 2.22-2.35
Tl4 0.4191 0.4191 0.3794  12 S 3.43-3.83
Al22 0.7911 0.5327 0.9479  4 S 2.20-2.32
S34 0.9152 0.4213 0.3745  3 Al 2.30-2.36
S35 0.8720 0.1173 0.0437  2 Al 2.23
Al23 0.5176 0.0525 0.9627  4 S 2.19-2.34
Al24 0.5860 0.0934 0.2973  4 S 2.21-2.34
S36 0.4311 0.6562 0.3838  2 Al 2.19-2.21
Tl5 0.5490 0.5490 0.7202  9 S 3.43-3.76
S37 0.0625 0.3055 0.6880  2 Al 2.23-2.24
S38 0.3517 0.1190 0.0416  2 Al 2.19-2.23
S39 0.1190 0.3517 0.0416  2 Al 2.19-2.23
S40 0.0512 0.8075 0.7060  2 Al 2.23
S41 0.3015 0.8140 0.7113  3 Al 2.31-2.33
Al25 0.3996 0.9011 0.6334  4 S 2.23-2.36
S42 0.3694 0.6073 0.0255  2 Al 2.22-2.23
Al26 0.8487 0.5937 0.2850  4 S 2.21-2.31
Tl6 0.1116 0.1116 0.9575  5 S 3.17-3.45

Results
Calculated volume in Å³/cell: 1766.6
Symmetry: Cm, No. 8
DFT formation energy in eV/atom: -1.302

---

## Al7Tl3S12 (PBE-GGA)

Data for Al7Tl3S12 after structural relaxation.

Lattice parameters (Å, degrees): 12.6275 9.2051 9.7343 83.90 90.00 90.00
Closest atoms and distances in Å follow each position.
Element x y z (fractional)
S1 0.7190 0.0506 0.1723  3 Al 2.30-2.32
Al1 0.1718 0.3309 0.8250  4 S 2.24-2.34
Tl1 0.2547 0.0384 0.4782  4 S 3.11-3.44
S2 0.1132 0.5695 0.8431  3 Al 2.31-2.34
S3 0.5282 0.7761 0.2718  3 Al 2.30-2.31
Al2 0.2839 0.0306 0.0294  4 S 2.24-2.32
S4 0.9588 0.9260 0.0064  2 Al 2.24-2.26
Tl2 0.5227 0.3807 0.8332  5 S 3.10-3.43
S5 0.4945 0.1266 0.3887  2 Al 2.25-2.26
S6 0.8081 0.6720 0.3226  2 Al 2.24-2.27
Tl3 0.0260 0.1217 0.2253  3 S 3.00-3.12
S7 0.3313 0.7289 0.5951  2 Al 2.23-2.25
S8 0.8313 0.2711 0.4049  2 Al 2.23-2.25
S9 0.2461 0.8615 0.2076  2 Al 2.25
Al3 0.7643 0.2895 0.1915  4 S 2.23-2.31
Tl4 0.5260 0.8783 0.7747  3 S 3.00-3.12
S10 0.0939 0.5294 0.4688  2 Al 2.22-2.25
Al4 0.8732 0.3031 0.8209  4 S 2.25-2.32
S11 0.0282 0.2239 0.7282  3 Al 2.30-2.31
S12 0.7461 0.1385 0.7924  2 Al 2.25
Al5 0.7672 0.4780 0.4779  4 S 2.25-2.34
Al6 0.6718 0.6691 0.1750  4 S 2.24-2.34
S13 0.7043 0.7541 0.9545  2 Al 2.24
S14 0.4588 0.0740 0.9936  2 Al 2.24-2.26
Al7 0.0378 0.9787 0.8015  4 S 2.24-2.31
S15 0.8477 0.5241 0.6858  3 Al 2.32-2.35
S16 0.3948 0.6446 0.9587  2 Al 2.24-2.26
S17 0.2043 0.2459 0.0455  2 Al 2.24
S18 0.3477 0.4759 0.3142  3 Al 2.32-2.35
S19 0.9945 0.8734 0.6113  2 Al 2.25-2.26
Al8 0.0155 0.6284 0.6410  4 S 2.22-2.35
S20 0.8948 0.3554 0.0413  2 Al 2.24-2.26
Al9 0.3732 0.6969 0.1791  4 S 2.25-2.32
Al10 0.7839 0.9694 0.9706  4 S 2.24-2.32
Al11 0.2672 0.5220 0.5221  4 S 2.25-2.34
Tl5 0.0227 0.6193 0.1668  5 S 3.10-3.43
S21 0.5939 0.4706 0.5312  2 Al 2.22-2.25
Tl6 0.7547 0.9616 0.5218  4 S 3.11-3.44
S22 0.2190 0.9494 0.8277  3 Al 2.30-2.32
Al12 0.5378 0.0213 0.1985  4 S 2.24-2.31
Al13 0.2643 0.7105 0.8085  4 S 2.23-2.31
S23 0.3080 0.3280 0.6774  2 Al 2.24-2.27
Al14 0.5155 0.3716 0.3590  4 S 2.22-2.35
S24 0.6132 0.4305 0.1569  3 Al 2.31-2.34

Results
Calculated volume in Å³/cell: 1125.1
Symmetry: P2_1, No. 4
DFT formation energy in eV/atom: -1.264

---

## AlV4S8 (PBE-GGA)

Data for AlV4S8 after structural relaxation.

Lattice parameters (Å, degrees): 6.8678 6.8678 6.8678 60.00 60.00 60.00
Closest atoms and distances in Å follow each position.
Element x y z (fractional)
S1 0.8646 0.8646 0.4062  1 Al 2.28, 3 V 2.55
S2 0.3707 0.3707 0.3707  3 V 2.30
V1 0.6056 0.1831 0.6056  6 S 2.30-2.55
V2 0.6056 0.6056 0.6056  6 S 2.30-2.55
Al1 0.0000 0.0000 0.0000  4 S 2.28
S3 0.3707 0.3707 0.8879  3 V 2.30
V3 0.6056 0.6056 0.1831  6 S 2.30-2.55
V4 0.1831 0.6056 0.6056  6 S 2.30-2.55
S4 0.8646 0.4062 0.8646  1 Al 2.28, 3 V 2.55
S5 0.8879 0.3707 0.3707  3 V 2.30
S6 0.4062 0.8646 0.8646  1 Al 2.28, 3 V 2.55
S7 0.8646 0.8646 0.8646  1 Al 2.28, 3 V 2.55
S8 0.3707 0.8879 0.3707  3 V 2.30

Results
Calculated volume in Å³/cell: 229.1
Symmetry: F-43m, No. 216
DFT formation energy in eV/atom: -1.288

---

## Al4ZnS7 (PBE-GGA)

Data for Al4ZnS7 after structural relaxation.

Lattice parameters (Å, degrees): 6.1702 6.5432 15.2371 90.00 90.00 90.00
Closest atoms and distances in Å follow each position.
Element x y z (fractional)
Al1 0.0763 0.3261 0.7446  4 S 2.20-2.32
S1 0.4503 0.3414 0.2428  3 Al 2.31-2.32
S2 0.4461 0.8161 0.6290  1 Zn 2.26, 2 Al 2.28-2.29
S3 0.9503 0.6586 0.7428  3 Al 2.31-2.32
Al2 0.0763 0.3261 0.2554  4 S 2.20-2.32
S4 0.9503 0.6586 0.2572  3 Al 2.31-2.32
Al3 0.5771 0.1527 0.1254  4 S 2.20-2.31
Al4 0.0771 0.8473 0.3746  4 S 2.20-2.31
S5 0.9711 0.6786 0.5000  1 Zn 2.27, 2 Al 2.30
S6 0.4625 0.8345 0.1268  2 Al 2.20
S7 0.9625 0.1655 0.6268  2 Al 2.20
Zn1 0.1111 0.2537 0.0000  3 S 2.26-2.27
Al5 0.5771 0.1527 0.8746  4 S 2.20-2.31
S8 0.4461 0.8161 0.3710  1 Zn 2.26, 2 Al 2.28-2.29
Al6 0.0771 0.8473 0.6254  4 S 2.20-2.31
S9 0.9625 0.1655 0.3732  2 Al 2.20
S10 0.4625 0.8345 0.8732  2 Al 2.20
S11 0.9461 0.1839 0.1290  1 Zn 2.26, 2 Al 2.28-2.29
S12 0.4503 0.3414 0.7572  3 Al 2.31-2.32
Al7 0.5763 0.6739 0.2446  4 S 2.20-2.32
Al8 0.5763 0.6739 0.7554  4 S 2.20-2.32
Zn2 0.6111 0.7463 0.5000  3 S 2.26-2.27
S13 0.4711 0.3214 0.0000  1 Zn 2.27, 2 Al 2.30
S14 0.9461 0.1839 0.8710  1 Zn 2.26, 2 Al 2.28-2.29

Results
Calculated volume in Å³/cell: 615.2
Symmetry: Pmn2_1, No. 31
DFT formation energy in eV/atom: -1.270

---

## Al2ZnS4 (PBE-GGA)

Data for Al2ZnS4 after structural relaxation.

Lattice parameters (Å, degrees): 3.6961 3.6961 23.8058 90.00 90.00 120.00
Closest atoms and distances in Å follow each position.
Element x y z (fractional)
S1 0.3333 0.6667 0.5614  3 Zn 2.26
S2 0.0000 0.0000 0.7002  3 Al 2.42, 1 Zn 2.57
S3 0.6667 0.3333 0.0614  3 Zn 2.26
S4 0.6667 0.3333 0.8069  1 Al 2.26
Zn1 0.0000 0.0000 0.0921  3 S 2.26
Al1 0.3333 0.6667 0.7481  6 S 2.42-2.55
S5 0.0000 0.0000 0.9388  3 Al 2.31
Al2 0.6667 0.3333 0.9020  4 S 2.26-2.31
S6 0.0000 0.0000 0.2002  3 Al 2.42, 1 Zn 2.57
S7 0.3333 0.6667 0.3069  1 Al 2.26
Zn2 0.0000 0.0000 0.5921  3 S 2.26
Al3 0.3333 0.6667 0.4020  4 S 2.26-2.31
S8 0.0000 0.0000 0.4388  3 Al 2.31
Al4 0.6667 0.3333 0.2481  6 S 2.42-2.55

Results
Calculated volume in Å³/cell: 281.6
Symmetry: P6_3mc, No. 186
DFT formation energy in eV/atom: -1.188